[1]
Compound: LiV2O4
Source: Materials Project
Functional: PBE with a Hubbard U
Structure: relaxed

a b c (Å): 5.9253 5.9253 5.9253
angles (deg): 60.00 60.00 60.00
Closest atoms and distances in Å follow each position.
Atoms (fractional coordinates):
1 Li 0.1250 0.1250 0.1250  4 O 1.97
2 Li 0.8750 0.8750 0.8750  4 O 1.97
3 V 0.0000 0.5000 0.5000  6 O 2.01
4 V 0.5000 0.0000 0.5000  6 O 2.01
5 V 0.5000 0.5000 0.0000  6 O 2.01
6 V 0.5000 0.5000 0.5000  6 O 2.01
7 O 0.2610 0.2610 0.2610  1 Li 1.97, 3 V 2.01
8 O 0.2610 0.2610 0.7171  1 Li 1.97, 3 V 2.01
9 O 0.2610 0.7171 0.2610  1 Li 1.97, 3 V 2.01
10 O 0.2829 0.7390 0.7390  1 Li 1.97, 3 V 2.01
11 O 0.7171 0.2610 0.2610  1 Li 1.97, 3 V 2.01
12 O 0.7390 0.2829 0.7390  1 Li 1.97, 3 V 2.01
13 O 0.7390 0.7390 0.2829  1 Li 1.97, 3 V 2.01
14 O 0.7390 0.7390 0.7390  1 Li 1.97, 3 V 2.01

Summary:
DFT formation energy	-239	kJ per mole of atoms
polymorph energy (0 for the lowest one)	0.183	eV per formula unit
uncorrected energy	-7.299	eV per atom

---

[2]
Compound: LiMn2OF5
Source: Materials Project
Functional: PBE with a Hubbard U
Structure: relaxed

a b c (Å): 5.1200 4.7322 17.2931
angles (deg): 90.00 91.45 90.00
Closest atoms and distances in Å follow each position.
Atoms (fractional coordinates):
1 Li 0.0000 0.2392 0.0000  4 F 1.98-2.17, 1 O 2.14
2 Li 0.0000 0.7608 0.5000  4 F 1.98-2.17, 1 O 2.14
3 Li 0.5048 0.2604 0.2290  4 F 1.98-2.17
4 Li 0.5048 0.7396 0.7290  4 F 1.98-2.17
5 Mn 0.0110 0.2495 0.6650  6 F 2.03-2.23
6 Mn 0.0110 0.7505 0.1650  6 F 2.03-2.23
7 Mn 0.0180 0.2600 0.3292  1 O 1.89, 5 F 1.96-2.09
8 Mn 0.0180 0.7400 0.8292  1 O 1.89, 5 F 1.96-2.09
9 Mn 0.4786 0.2945 0.9009  2 O 1.83-1.86, 3 F 1.92-1.98
10 Mn 0.4786 0.7055 0.4009  2 O 1.83-1.86, 3 F 1.92-1.98
11 Mn 0.5030 0.2680 0.5556  1 O 1.88, 3 F 1.93-1.98
12 Mn 0.5030 0.7320 0.0556  1 O 1.88, 3 F 1.93-1.98
13 O 0.3214 0.4877 0.3258  2 Mn 1.83-1.89
14 O 0.3214 0.5123 0.8258  2 Mn 1.83-1.89
15 O 0.3379 0.4939 0.9826  2 Mn 1.86-1.88
16 O 0.3379 0.5061 0.4826  2 Mn 1.86-1.88
17 F 0.1755 0.0358 0.2430  1 Li 2.01, 2 Mn 2.01-2.07
18 F 0.1755 0.9642 0.7430  1 Li 2.01, 2 Mn 2.01-2.07
19 F 0.1841 0.0387 0.5681  2 Mn 1.98-2.16, 1 Li 1.99
20 F 0.1841 0.9613 0.0681  2 Mn 1.98-2.16, 1 Li 1.99
21 F 0.1894 0.0362 0.9040  2 Mn 1.92-2.09
22 F 0.1894 0.9638 0.4040  2 Mn 1.92-2.09
23 F 0.3378 0.4870 0.6514  1 Li 1.98, 2 Mn 2.03-2.15
24 F 0.3378 0.5130 0.1514  1 Li 1.98, 2 Mn 2.03-2.15
25 F 0.6591 0.0366 0.9750  2 Mn 1.98-2.17, 1 Li 2.03
26 F 0.6591 0.9634 0.4750  2 Mn 1.98-2.17, 1 Li 2.03
27 F 0.6630 0.0392 0.6381  2 Mn 1.95-2.08
28 F 0.6630 0.9608 0.1381  2 Mn 1.95-2.08
29 F 0.7060 0.0214 0.3198  1 Mn 1.96, 1 Li 2.17
30 F 0.7060 0.9786 0.8198  1 Mn 1.96, 1 Li 2.17
31 F 0.8160 0.4870 0.9014  2 Mn 1.95-2.03
32 F 0.8160 0.5130 0.4014  2 Mn 1.95-2.03
33 F 0.8227 0.4823 0.5663  1 Mn 1.93, 1 Li 1.98
34 F 0.8227 0.5177 0.0663  1 Mn 1.93, 1 Li 1.98
35 F 0.8364 0.4766 0.2396  1 Li 1.99, 2 Mn 2.05-2.06
36 F 0.8364 0.5234 0.7396  1 Li 1.99, 2 Mn 2.05-2.06

Summary:
DFT formation energy	-258	kJ per mole of atoms
polymorph energy (0 for the lowest one)	0.352	eV per formula unit
uncorrected energy	-5.827	eV per atom